1.
Li3V4F19 | PBE with a Hubbard U | optimized geometry

Computed properties:
Space-group type: No. 2
Electronic total energy (eV/atom): -5.428

Cell: 5.292 10.432 12.326 Å, 108.55 92.56 102.96°
Atoms (fractional coordinates):
V 0.869 0.382 0.368
V 0.660 0.116 0.634
V 0.892 0.048 0.212
V 0.131 0.618 0.632
V 0.340 0.884 0.366
V 0.945 0.663 0.056
V 0.055 0.337 0.944
V 0.108 0.952 0.788
F 0.738 0.219 0.221
F 0.346 0.550 0.704
F 0.168 0.753 0.212
F 0.936 0.185 0.568
F 0.717 0.673 0.943
F 0.120 0.425 0.510
F 0.237 0.738 0.998
F 0.663 0.004 0.081
F 0.375 0.069 0.492
F 0.612 0.981 0.295
F 0.400 0.695 0.561
F 0.150 0.455 0.303
F 0.625 0.931 0.508
F 0.125 0.524 0.083
F 0.127 0.149 0.874
F 0.031 0.213 0.355
F 0.821 0.890 0.852
F 0.850 0.545 0.697
F 0.388 0.019 0.705
F 0.064 0.815 0.432
F 0.763 0.262 0.002
F 0.179 0.110 0.148
F 0.514 0.264 0.657
F 0.337 0.996 0.919
F 0.486 0.736 0.343
F 0.262 0.781 0.779
F 0.832 0.247 0.788
F 0.600 0.305 0.439
F 0.969 0.787 0.645
F 0.875 0.476 0.917
F 0.320 0.409 0.870
F 0.680 0.591 0.130
F 0.121 0.991 0.312
F 0.283 0.327 0.057
F 0.879 0.009 0.688
F 0.873 0.851 0.126
F 0.654 0.450 0.296
F 0.880 0.575 0.490
Li 0.602 0.486 0.795
Li 0.524 0.832 0.936
Li 0.476 0.168 0.064
Li 0.276 0.255 0.507
Li 0.398 0.514 0.205
Li 0.724 0.745 0.493

***

2.
LiWF6 | PBE with a Hubbard U | optimized geometry

Computed properties:
Space-group type: No. 14
Electronic total energy (eV/atom): -5.301

Cell: 5.230 8.973 10.248 Å, 87.99 90.00 90.00°
Atoms (fractional coordinates):
F 0.572 0.904 0.260
F 0.714 0.407 0.024
F 0.214 0.593 0.476
F 0.805 0.742 0.985
F 0.059 0.395 0.237
F 0.559 0.605 0.263
F 0.286 0.593 0.976
F 0.265 0.897 0.489
F 0.786 0.407 0.524
F 0.928 0.904 0.760
F 0.117 0.744 0.253
F 0.735 0.103 0.511
F 0.195 0.258 0.015
F 0.441 0.395 0.737
F 0.383 0.744 0.753
F 0.695 0.742 0.485
F 0.765 0.103 0.011
F 0.305 0.258 0.515
F 0.617 0.256 0.247
F 0.072 0.096 0.240
F 0.883 0.256 0.747
F 0.428 0.096 0.740
F 0.235 0.897 0.989
F 0.941 0.605 0.763
Li 0.895 0.605 0.581
Li 0.105 0.395 0.419
Li 0.605 0.605 0.081
Li 0.395 0.395 0.919
W 0.396 0.761 0.369
W 0.604 0.239 0.631
W 0.104 0.761 0.869
W 0.896 0.239 0.131

***

3.
MgMnF5 | PBE with a Hubbard U | optimized geometry

Computed properties:
Space-group type: No. 14
Electronic total energy (eV/atom): -5.522
Offset from the most stable computed form (eV per atom): 0.0047

Cell: 9.589 5.096 7.812 Å, 70.02 90.00 90.00°
Atoms (fractional coordinates):
Mn 0.756 0.112 0.614
Mn 0.744 0.112 0.114
Mn 0.256 0.888 0.886
Mn 0.244 0.888 0.386
F 0.836 0.200 0.344
F 0.106 0.139 0.274
F 0.394 0.139 0.774
F 0.608 0.366 0.501
F 0.884 0.406 0.608
F 0.606 0.861 0.226
F 0.894 0.861 0.726
F 0.616 0.406 0.108
F 0.131 0.188 0.854
F 0.164 0.800 0.656
F 0.392 0.634 0.499
F 0.116 0.594 0.392
F 0.336 0.800 0.156
F 0.869 0.812 0.146
F 0.108 0.634 0.999
F 0.631 0.812 0.646
F 0.384 0.594 0.892
F 0.892 0.366 0.001
F 0.369 0.188 0.354
F 0.664 0.200 0.844
Mg 0.489 0.523 0.272
Mg 0.511 0.477 0.728
Mg 0.011 0.523 0.772
Mg 0.989 0.477 0.228

***

4.
MgMnF5 | PBE with a Hubbard U | optimized geometry

Computed properties:
Space-group type: No. 1
Electronic total energy (eV/atom): -5.527
Offset from the most stable computed form (eV per atom): 0.0000

Cell: 5.286 5.300 7.682 Å, 99.57 107.13 110.20°
Atoms (fractional coordinates):
F 0.127 0.712 0.437
F 0.407 0.262 0.631
F 0.861 0.222 0.124
F 0.135 0.776 0.871
F 0.773 0.687 0.057
F 0.234 0.317 0.944
F 0.401 0.149 0.250
F 0.598 0.740 0.370
F 0.877 0.288 0.563
F 0.602 0.851 0.748
Mg 0.726 0.479 0.245
Mg 0.277 0.523 0.753
Mn 0.502 0.001 0.500
Mn 0.002 0.001 0.999

***

5.
MgMn6O11F | PBE with a Hubbard U | optimized geometry

Computed properties:
Space-group type: No. 1
Electronic total energy (eV/atom): -6.946
Offset from the most stable computed form (eV per atom): 0.0612

Cell: 4.996 5.110 8.683 Å, 90.78 89.16 101.11°
Atoms (fractional coordinates):
Mn 0.456 0.537 0.495
Mn 0.007 0.980 0.665
Mn 0.554 0.446 0.171
Mn 0.008 0.992 0.013
Mn 0.442 0.548 0.851
Mn 0.998 0.998 0.336
O 0.816 0.140 0.174
O 0.675 0.707 0.673
O 0.208 0.847 0.511
O 0.294 0.313 0.334
O 0.286 0.318 0.011
O 0.722 0.666 0.001
O 0.826 0.137 0.514
O 0.207 0.856 0.828
O 0.294 0.316 0.672
O 0.724 0.665 0.340
O 0.174 0.858 0.170
Mg 0.516 0.040 0.665
F 0.807 0.149 0.832

***

6.
MgMn6O7F5 | PBE with a Hubbard U | optimized geometry

Computed properties:
Space-group type: No. 1
Electronic total energy (eV/atom): -6.770
Offset from the most stable computed form (eV per atom): 0.0386

Cell: 7.733 5.839 5.795 Å, 68.41 71.31 68.83°
Atoms (fractional coordinates):
F 0.663 0.561 0.622
F 0.028 0.336 0.708
F 0.018 0.668 0.303
F 0.316 0.849 0.891
F 0.696 0.148 0.076
O 0.335 0.351 0.918
O 0.667 0.034 0.656
O 0.961 0.211 0.252
O 0.669 0.643 0.063
O 0.403 0.412 0.374
O 0.328 0.939 0.337
O 0.030 0.803 0.762
Mn 0.007 0.002 0.004
Mn 0.164 0.285 0.318
Mn 0.848 0.703 0.694
Mn 0.686 0.335 0.370
Mn 0.498 0.994 0.995
Mn 0.273 0.627 0.593
Mg 0.499 0.505 0.981